The following is a PBE+U calculation of crystalline MgCoO3 at its relaxed geometry, from the Materials Project database.

a b c (Å): 6.383 6.383 4.962
angles (deg): 93.19 93.19 83.43
Element x y z (fractional)
Mg 0.106 0.326 0.276
Mg 0.326 0.106 0.776
Mg 0.674 0.894 0.224
Mg 0.894 0.674 0.724
Co 0.234 0.766 0.250
Co 0.418 0.582 0.750
Co 0.582 0.418 0.250
Co 0.766 0.234 0.750
O 0.029 0.228 0.892
O 0.163 0.615 0.540
O 0.228 0.029 0.392
O 0.313 0.480 0.070
O 0.385 0.837 0.960
O 0.480 0.313 0.570
O 0.520 0.687 0.430
O 0.615 0.163 0.040
O 0.687 0.520 0.930
O 0.772 0.971 0.608
O 0.837 0.385 0.460
O 0.971 0.772 0.108

Results
VASP energy: -5.77 eV per atom
energy of formation: -1.800 eV/atom
space group: C2/c (15)

The following is a PBE+U calculation of crystalline Li3Cr3Ni2O12 at its relaxed geometry, from the Materials Project database.

a b c (Å): 8.782 9.227 15.016
angles (deg): 90.00 124.39 90.00
Element x y z (fractional)
Li 0.012 0.230 0.179
Li 0.012 0.270 0.679
Li 0.281 0.010 0.842
Li 0.281 0.490 0.342
Li 0.380 0.088 0.302
Li 0.380 0.412 0.802
Li 0.620 0.588 0.198
Li 0.620 0.912 0.698
Li 0.719 0.510 0.658
Li 0.719 0.990 0.158
Li 0.988 0.730 0.321
Li 0.988 0.770 0.821
Cr 0.029 0.613 0.645
Cr 0.029 0.887 0.145
Cr 0.265 0.118 0.648
Cr 0.265 0.382 0.148
Cr 0.450 0.748 0.991
Cr 0.450 0.752 0.491
Cr 0.550 0.248 0.509
Cr 0.550 0.252 0.009
Cr 0.735 0.618 0.852
Cr 0.735 0.882 0.352
Cr 0.971 0.113 0.855
Cr 0.971 0.387 0.355
Ni 0.120 0.032 0.382
Ni 0.120 0.468 0.882
Ni 0.357 0.031 0.113
Ni 0.357 0.469 0.613
Ni 0.643 0.531 0.387
Ni 0.643 0.969 0.887
Ni 0.880 0.532 0.118
Ni 0.880 0.968 0.618
O 0.020 0.726 0.194
O 0.020 0.774 0.694
O 0.121 0.077 0.694
O 0.121 0.423 0.194
O 0.124 0.011 0.245
O 0.124 0.489 0.745
O 0.147 0.085 0.517
O 0.147 0.415 0.017
O 0.150 0.617 0.593
O 0.150 0.883 0.093
O 0.188 0.057 0.944
O 0.188 0.443 0.444
O 0.241 0.676 0.935
O 0.241 0.824 0.435
O 0.280 0.194 0.167
O 0.280 0.306 0.667
O 0.387 0.122 0.444
O 0.387 0.378 0.944
O 0.454 0.666 0.395
O 0.454 0.834 0.895
O 0.471 0.028 0.728
O 0.471 0.472 0.228
O 0.488 0.633 0.586
O 0.488 0.867 0.086
O 0.512 0.133 0.914
O 0.512 0.367 0.414
O 0.529 0.528 0.772
O 0.529 0.972 0.272
O 0.546 0.166 0.105
O 0.546 0.334 0.605
O 0.613 0.622 0.056
O 0.613 0.878 0.556
O 0.720 0.694 0.333
O 0.720 0.806 0.833
O 0.759 0.176 0.565
O 0.759 0.324 0.065
O 0.812 0.557 0.556
O 0.812 0.943 0.056
O 0.850 0.117 0.907
O 0.850 0.383 0.407
O 0.853 0.585 0.983
O 0.853 0.915 0.483
O 0.876 0.511 0.255
O 0.876 0.989 0.755
O 0.879 0.577 0.806
O 0.879 0.923 0.306
O 0.980 0.226 0.306
O 0.980 0.274 0.806

Results
VASP energy: -6.09 eV per atom
energy of formation: -1.771 eV/atom
space group: P2_1/c (14)

The following is a PBE+U calculation of crystalline Sr3CeMn4O12 at its relaxed geometry, from the Materials Project database.

a b c (Å): 6.751 6.751 6.751
angles (deg): 109.47 109.47 109.47
Element x y z (fractional)
Sr 0.000 0.500 0.500
Sr 0.500 0.000 0.500
Sr 0.500 0.500 0.000
Ce 0.000 0.000 0.000
Mn 0.000 0.000 0.500
Mn 0.000 0.500 0.000
Mn 0.500 0.000 0.000
Mn 0.500 0.500 0.500
O 0.000 0.242 0.758
O 0.000 0.758 0.242
O 0.242 0.000 0.758
O 0.242 0.242 0.483
O 0.242 0.483 0.242
O 0.242 0.758 0.000
O 0.483 0.242 0.242
O 0.517 0.758 0.758
O 0.758 0.000 0.242
O 0.758 0.242 0.000
O 0.758 0.517 0.758
O 0.758 0.758 0.517

Results
VASP energy: -7.24 eV per atom
energy of formation: -2.637 eV/atom
space group: Im-3m (229)

The following is a PBE+U calculation of crystalline LiVSiO4 at its relaxed geometry, from the Materials Project database.

a b c (Å): 5.499 8.284 18.796
angles (deg): 90.00 90.00 90.00
Element x y z (fractional)
Li 0.000 0.170 0.250
Li 0.000 0.830 0.750
Li 0.026 0.175 0.583
Li 0.026 0.825 0.083
Li 0.474 0.325 0.083
Li 0.474 0.675 0.583
Li 0.500 0.330 0.750
Li 0.500 0.670 0.250
Li 0.526 0.325 0.417
Li 0.526 0.675 0.917
Li 0.974 0.175 0.917
Li 0.974 0.825 0.417
V 0.000 0.500 0.000
V 0.000 0.500 0.500
V 0.001 0.499 0.333
V 0.001 0.501 0.833
V 0.499 0.001 0.833
V 0.499 0.999 0.333
V 0.500 0.000 0.000
V 0.500 0.000 0.500
V 0.501 0.001 0.667
V 0.501 0.999 0.167
V 0.999 0.499 0.167
V 0.999 0.501 0.667
Si 0.000 0.152 0.750
Si 0.000 0.848 0.250
Si 0.003 0.151 0.417
Si 0.003 0.849 0.917
Si 0.497 0.349 0.917
Si 0.497 0.651 0.417
Si 0.500 0.348 0.250
Si 0.500 0.652 0.750
Si 0.503 0.349 0.583
Si 0.503 0.651 0.083
Si 0.997 0.151 0.083
Si 0.997 0.849 0.583
O 0.002 0.262 0.155
O 0.002 0.263 0.488
O 0.002 0.263 0.679
O 0.002 0.737 0.179
O 0.002 0.737 0.988
O 0.002 0.738 0.655
O 0.239 0.028 0.083
O 0.239 0.028 0.750
O 0.239 0.972 0.250
O 0.239 0.972 0.583
O 0.243 0.027 0.417
O 0.243 0.973 0.917
O 0.257 0.473 0.917
O 0.257 0.527 0.417
O 0.261 0.472 0.250
O 0.261 0.472 0.583
O 0.261 0.528 0.083
O 0.261 0.528 0.750
O 0.498 0.237 0.179
O 0.498 0.237 0.988
O 0.498 0.238 0.655
O 0.498 0.762 0.155
O 0.498 0.763 0.488
O 0.498 0.763 0.679
O 0.502 0.237 0.321
O 0.502 0.237 0.512
O 0.502 0.238 0.845
O 0.502 0.762 0.345
O 0.502 0.763 0.012
O 0.502 0.763 0.821
O 0.739 0.472 0.250
O 0.739 0.472 0.917
O 0.739 0.528 0.417
O 0.739 0.528 0.750
O 0.743 0.473 0.583
O 0.743 0.527 0.083
O 0.757 0.027 0.083
O 0.757 0.973 0.583
O 0.761 0.028 0.417
O 0.761 0.028 0.750
O 0.761 0.972 0.250
O 0.761 0.972 0.917
O 0.998 0.262 0.345
O 0.998 0.263 0.012
O 0.998 0.263 0.821
O 0.998 0.737 0.321
O 0.998 0.737 0.512
O 0.998 0.738 0.845

Results
polymorph energy (0 for the lowest one): 0.006 eV/atom
VASP energy: -7.37 eV per atom
energy of formation: -2.833 eV/atom
space group: Pbcn (60)

The following is a PBE+U calculation of crystalline Mn2InC9O9 at its relaxed geometry, from the Materials Project database.

a b c (Å): 17.407 17.407 17.407
angles (deg): 133.13 133.13 68.45
Element x y z (fractional)
Mn 0.114 0.651 0.821
Mn 0.151 0.830 0.537
Mn 0.165 0.915 0.250
Mn 0.207 0.386 0.037
Mn 0.279 0.029 0.250
Mn 0.330 0.293 0.679
Mn 0.415 0.665 0.750
Mn 0.471 0.221 0.250
Mn 0.529 0.779 0.750
Mn 0.585 0.335 0.250
Mn 0.670 0.707 0.321
Mn 0.721 0.971 0.750
Mn 0.793 0.614 0.963
Mn 0.835 0.085 0.750
Mn 0.849 0.170 0.463
Mn 0.886 0.349 0.179
In 0.164 0.834 0.055
In 0.279 0.110 0.445
In 0.334 0.779 0.669
In 0.390 0.336 0.169
In 0.610 0.664 0.831
In 0.666 0.221 0.331
In 0.721 0.890 0.555
In 0.836 0.166 0.945
C 0.021 0.360 0.234
C 0.024 0.860 0.438
C 0.040 0.960 0.166
C 0.067 0.729 0.762
C 0.078 0.415 0.938
C 0.085 0.524 0.663
C 0.091 0.692 0.432
C 0.094 0.781 0.128
C 0.140 0.875 0.662
C 0.152 0.965 0.372
C 0.154 0.082 0.185
C 0.154 0.246 0.935
C 0.159 0.591 0.899
C 0.189 0.782 0.435
C 0.192 0.260 0.601
C 0.196 0.433 0.162
C 0.229 0.966 0.662
C 0.240 0.341 0.932
C 0.254 0.689 0.907
C 0.280 0.982 0.120
C 0.281 0.652 0.687
C 0.282 0.346 0.593
C 0.287 0.521 0.162
C 0.294 0.874 0.334
C 0.341 0.220 0.203
C 0.360 0.422 0.837
C 0.362 0.159 0.380
C 0.374 0.540 0.580
C 0.375 0.213 0.734
C 0.397 0.969 0.315
C 0.418 0.103 0.073
C 0.460 0.794 0.920
C 0.465 0.594 0.813
C 0.466 0.304 0.738
C 0.469 0.654 0.573
C 0.482 0.862 0.703
C 0.518 0.138 0.297
C 0.531 0.346 0.427
C 0.534 0.696 0.262
C 0.535 0.406 0.187
C 0.540 0.206 0.080
C 0.582 0.897 0.927
C 0.603 0.031 0.685
C 0.625 0.787 0.266
C 0.626 0.460 0.420
C 0.638 0.841 0.620
C 0.640 0.578 0.163
C 0.659 0.780 0.797
C 0.706 0.126 0.666
C 0.713 0.479 0.838
C 0.718 0.654 0.407
C 0.719 0.348 0.313
C 0.720 0.018 0.880
C 0.746 0.311 0.093
C 0.760 0.659 0.068
C 0.771 0.034 0.338
C 0.804 0.567 0.838
C 0.808 0.740 0.399
C 0.811 0.218 0.565
C 0.841 0.409 0.101
C 0.846 0.754 0.065
C 0.846 0.918 0.815
C 0.848 0.035 0.628
C 0.860 0.125 0.338
C 0.906 0.219 0.872
C 0.909 0.308 0.568
C 0.915 0.476 0.337
C 0.922 0.585 0.062
C 0.933 0.271 0.238
C 0.960 0.040 0.834
C 0.976 0.140 0.562
C 0.979 0.640 0.766
O 0.005 0.569 0.127
O 0.034 0.774 0.722
O 0.040 0.014 0.887
O 0.047 0.695 0.056
O 0.052 0.606 0.366
O 0.058 0.122 0.627
O 0.069 0.442 0.564
O 0.079 0.119 0.145
O 0.106 0.240 0.554
O 0.106 0.367 0.270
O 0.120 0.159 0.872
O 0.133 0.904 0.740
O 0.139 0.991 0.444
O 0.185 0.552 0.946
O 0.188 0.466 0.241
O 0.195 0.639 0.648
O 0.213 0.752 0.372
O 0.252 0.380 0.539
O 0.258 0.216 0.173
O 0.260 0.315 0.866
O 0.274 0.053 0.741
O 0.284 0.958 0.043
O 0.336 0.606 0.240
O 0.341 0.713 0.961
O 0.346 0.460 0.473
O 0.373 0.846 0.387
O 0.378 0.505 0.936
O 0.381 0.027 0.960
O 0.404 0.164 0.770
O 0.415 0.242 0.457
O 0.434 0.579 0.460
O 0.447 0.688 0.222
O 0.458 0.915 0.673
O 0.473 0.934 0.355
O 0.486 0.873 0.027
O 0.491 0.547 0.852
O 0.509 0.453 0.148
O 0.514 0.127 0.973
O 0.527 0.066 0.645
O 0.542 0.085 0.327
O 0.553 0.312 0.778
O 0.566 0.421 0.540
O 0.585 0.758 0.543
O 0.596 0.836 0.230
O 0.619 0.973 0.040
O 0.622 0.495 0.064
O 0.627 0.154 0.613
O 0.654 0.540 0.527
O 0.659 0.287 0.039
O 0.664 0.394 0.760
O 0.716 0.042 0.957
O 0.726 0.947 0.259
O 0.740 0.685 0.134
O 0.742 0.784 0.827
O 0.748 0.620 0.461
O 0.787 0.248 0.628
O 0.805 0.361 0.352
O 0.812 0.534 0.759
O 0.815 0.448 0.054
O 0.861 0.009 0.556
O 0.867 0.096 0.260
O 0.880 0.841 0.128
O 0.894 0.633 0.730
O 0.894 0.760 0.446
O 0.921 0.881 0.855
O 0.931 0.558 0.436
O 0.942 0.878 0.373
O 0.948 0.394 0.634
O 0.953 0.305 0.944
O 0.960 0.986 0.113
O 0.966 0.226 0.278
O 0.995 0.431 0.873

Results
VASP energy: -7.35 eV per atom
energy of formation: -0.726 eV/atom
space group: I4_1/a (88)

The following is a PBE+U calculation of crystalline MgV2O4 at its relaxed geometry, from the Materials Project database.

a b c (Å): 3.047 3.064 10.291
angles (deg): 82.22 86.59 60.78
Element x y z (fractional)
Mg 0.000 0.000 0.000
V 0.651 0.770 0.746
V 0.969 0.799 0.268
O 0.304 0.093 0.345
O 0.330 0.385 0.884
O 0.663 0.588 0.122
O 0.981 0.140 0.668

Results
polymorph energy (0 for the lowest one): 0.199 eV/atom
VASP energy: -7.28 eV per atom
energy of formation: -2.507 eV/atom
space group: P1 (1)

Question: Which of these has the highest energy of formation?
Answer: Mn2InC9O9

Question: The lowest VASP energy belongs to which entry?
Answer: LiVSiO4

Question: The lowest VASP energy belongs to which entry?
Answer: LiVSiO4

Question: Among the records above, which one has the lowest VASP energy?
Answer: LiVSiO4